MgCu2Ni4O8: optimized geometry, PBE+U.

Properties
raw total energy = -4.9249 eV per atom
V = 451.5 Å³/cell

The structure in CIF format:
```
data_MgCu2Ni4O8
_space_group_name_H-M_alt 'R -3 m'
_space_group_IT_number 166
_space_group_name_Hall '-R 3 2"'
_cell_length_a 5.7892
_cell_length_b 5.7892
_cell_length_c 15.5562
_cell_angle_alpha 90.00
_cell_angle_beta 90.00
_cell_angle_gamma 120.00
loop_
_atom_site_label
_atom_site_fract_x
_atom_site_fract_y
_atom_site_fract_z
_atom_site_occupancy
Mg1 0.0000 0.0000 0.0000 1
Cu1 0.0000 0.0000 0.1541 1
Ni1 0.0000 0.0000 0.5000 1
Ni2 0.0000 0.5000 0.0000 1
O1 0.0000 0.0000 0.2716 1
O2 0.0033 0.5016 0.2548 1
```